1.
# Mg2Mn3WS8

A geometry-optimized Mg2Mn3WS8 structure (PBE, the Materials Project).

Unit cell a=7.3193 b=7.3193 c=7.3254 alpha=119.98 beta=119.98 gamma=60.03
Fractional coordinates of all 14 atoms:
Mg (0.1304, 0.1304, 0.3697)
Mg (0.8696, 0.8696, 0.6303)
Mn (0.0000, 0.5000, 0.0000)
Mn (0.5000, 0.0000, 0.0000)
Mn (0.5000, 0.5000, 0.5000)
W (0.5000, 0.5000, 0.0000)
S (0.2653, 0.2653, 0.7787)
S (0.2653, 0.7213, 0.2348)
S (0.2659, 0.2659, 0.2340)
S (0.2787, 0.7347, 0.7652)
S (0.7213, 0.2653, 0.2348)
S (0.7341, 0.7341, 0.7660)
S (0.7347, 0.2787, 0.7652)
S (0.7347, 0.7347, 0.2213)

- total DFT energy (no corrections) (eV/f.u.) = -86.4
- DFT formation energy (meV per atom) = -979

2.
# MgMnWS4

A geometry-optimized MgMnWS4 structure (PBE, the Materials Project).

Unit cell a=6.8697 b=7.3855 c=7.3899 alpha=60.18 beta=62.36 gamma=62.34
Fractional coordinates of all 14 atoms:
Mg (0.0000, 0.0000, 0.0000)
Mg (0.2427, 0.2604, 0.2602)
Mn (0.5917, 0.6491, 0.1703)
Mn (0.5928, 0.1675, 0.6493)
W (0.0566, 0.6452, 0.6459)
W (0.6543, 0.6450, 0.6458)
S (0.3336, 0.4201, 0.4213)
S (0.3580, 0.8574, 0.4286)
S (0.3585, 0.4273, 0.8576)
S (0.4103, 0.8702, 0.8720)
S (0.8290, 0.4196, 0.4208)
S (0.8430, 0.3976, 0.9183)
S (0.8432, 0.9173, 0.3981)
S (0.8485, 0.8702, 0.8718)

- total DFT energy (no corrections) (eV/f.u.) = -45.1
- DFT formation energy (meV per atom) = -981

3.
# MgMn4Zn2S8

A geometry-optimized MgMn4Zn2S8 structure (PBE, the Materials Project).

Unit cell a=7.7154 b=7.7154 c=7.1201 alpha=117.46 beta=117.46 gamma=54.05
Fractional coordinates of all 15 atoms:
Mg (0.0000, 0.0000, 0.0000)
Mn (0.4152, 0.4152, 0.1633)
Mn (0.4164, 0.4164, 0.6660)
Mn (0.4615, 0.9296, 0.1943)
Mn (0.9296, 0.4615, 0.1943)
Zn (0.0384, 0.0384, 0.5369)
Zn (0.7436, 0.7436, 0.7424)
S (0.1445, 0.6061, 0.8740)
S (0.1564, 0.1564, 0.9296)
S (0.1569, 0.1569, 0.3818)
S (0.1660, 0.6434, 0.4028)
S (0.6061, 0.1445, 0.8740)
S (0.6354, 0.6354, 0.3610)
S (0.6354, 0.6354, 0.9076)
S (0.6434, 0.1660, 0.4028)

- total DFT energy (no corrections) (eV/f.u.) = -83.4
- DFT formation energy (meV per atom) = -901
- energy above the lowest structure with this stoichiometry (eV/f.u.) = 0.00

4.
# MgMn4Zn2S8

A geometry-optimized MgMn4Zn2S8 structure (PBE, the Materials Project).

Unit cell a=7.4589 b=7.4589 c=7.4589 alpha=57.67 beta=57.67 gamma=57.67
Fractional coordinates of all 15 atoms:
Mg (0.0000, 0.0000, 0.0000)
Mn (0.0000, 0.5000, 0.5000)
Mn (0.5000, 0.0000, 0.5000)
Mn (0.5000, 0.5000, 0.0000)
Mn (0.5000, 0.5000, 0.5000)
Zn (0.1455, 0.1455, 0.1455)
Zn (0.8545, 0.8545, 0.8545)
S (0.2515, 0.2515, 0.7404)
S (0.2515, 0.7404, 0.2515)
S (0.2596, 0.7485, 0.7485)
S (0.2673, 0.2673, 0.2673)
S (0.7327, 0.7327, 0.7327)
S (0.7404, 0.2515, 0.2515)
S (0.7485, 0.2596, 0.7485)
S (0.7485, 0.7485, 0.2596)

- total DFT energy (no corrections) (eV/f.u.) = -83.3
- DFT formation energy (meV per atom) = -899
- energy above the lowest structure with this stoichiometry (eV/f.u.) = 0.03

5.
# MgMn4Zn2S8

A geometry-optimized MgMn4Zn2S8 structure (PBE, the Materials Project).

Unit cell a=7.5191 b=7.5191 c=7.5191 alpha=119.86 beta=119.81 gamma=90.28
Fractional coordinates of all 15 atoms:
Mg (0.0000, 0.0000, 0.0000)
Mn (0.1422, 0.4244, 0.2822)
Mn (0.1422, 0.8600, 0.7178)
Mn (0.1436, 0.8602, 0.2835)
Mn (0.5767, 0.8602, 0.7165)
Zn (0.5017, 0.5017, 0.0000)
Zn (0.7504, 0.2504, 0.5000)
S (0.3691, 0.1234, 0.2457)
S (0.3699, 0.1073, 0.7374)
S (0.3699, 0.6326, 0.2626)
S (0.3695, 0.6329, 0.7367)
S (0.8776, 0.1234, 0.7543)
S (0.8780, 0.1249, 0.2469)
S (0.8780, 0.6311, 0.7531)
S (0.8962, 0.6329, 0.2633)

- total DFT energy (no corrections) (eV/f.u.) = -79.8
- DFT formation energy (meV per atom) = -663
- energy above the lowest structure with this stoichiometry (eV/f.u.) = 3.57

6.
# Mg5MnSb4

A geometry-optimized Mg5MnSb4 structure (PBE, the Materials Project).

Unit cell a=4.5681 b=4.5681 c=14.5039 alpha=90.00 beta=90.00 gamma=120.00
Fractional coordinates of all 10 atoms:
Mg (0.0000, 0.0000, 0.0000)
Mg (0.0000, 0.0000, 0.4977)
Mg (0.3333, 0.6667, 0.1851)
Mg (0.3333, 0.6667, 0.6842)
Mg (0.6667, 0.3333, 0.8687)
Mn (0.6667, 0.3333, 0.3705)
Sb (0.0000, 0.0000, 0.2996)
Sb (0.0000, 0.0000, 0.7968)
Sb (0.6667, 0.3333, 0.0722)
Sb (0.6667, 0.3333, 0.5688)

- total DFT energy (no corrections) (eV/f.u.) = -36.0
- DFT formation energy (meV per atom) = -313

7.
# Mg6MnSb

A geometry-optimized Mg6MnSb structure (PBE, the Materials Project).

Unit cell a=5.0642 b=6.3093 c=10.7854 alpha=90.00 beta=90.00 gamma=90.00
Fractional coordinates of all 16 atoms:
Mg (0.5000, 0.2446, 0.9145)
Mg (0.5000, 0.7554, 0.9145)
Mg (0.0000, 0.7438, 0.5816)
Mg (0.0000, 0.7562, 0.0816)
Mg (0.0000, 0.0000, 0.3337)
Mg (0.5000, 0.0000, 0.1678)
Mg (0.5000, 0.2554, 0.4145)
Mg (0.0000, 0.2438, 0.0816)
Mg (0.0000, 0.5000, 0.8337)
Sb (0.5000, 0.5000, 0.1716)
Mn (0.0000, 0.0000, 0.8346)
Mn (0.0000, 0.5000, 0.3346)
Mg (0.5000, 0.5000, 0.6678)
Mg (0.5000, 0.7446, 0.4145)
Sb (0.5000, 0.0000, 0.6716)
Mg (0.0000, 0.2562, 0.5816)

- total DFT energy (no corrections) (eV/f.u.) = -22.6
- DFT formation energy (meV per atom) = 15

8.
# Mg14MnSb

A geometry-optimized Mg14MnSb structure (PBE, the Materials Project).

Unit cell a=6.3098 b=6.3098 c=10.3363 alpha=90.00 beta=90.00 gamma=120.00
Fractional coordinates of all 16 atoms:
Mg (0.0000, 0.0000, 0.2487)
Mg (0.0000, 0.0000, 0.7513)
Mg (0.0037, 0.5019, 0.2429)
Mg (0.0037, 0.5019, 0.7571)
Mg (0.3314, 0.1657, 0.5000)
Mg (0.3341, 0.1670, 0.0000)
Mg (0.4981, 0.5019, 0.2429)
Mg (0.4981, 0.5019, 0.7571)
Mg (0.4981, 0.9963, 0.2429)
Mg (0.4981, 0.9963, 0.7571)
Mg (0.8330, 0.1670, 0.0000)
Mg (0.8330, 0.6659, 0.0000)
Mg (0.8343, 0.1657, 0.5000)
Mg (0.8343, 0.6686, 0.5000)
Mn (0.3333, 0.6667, 0.0000)
Sb (0.3333, 0.6667, 0.5000)

- total DFT energy (no corrections) (eV/f.u.) = -35.3
- DFT formation energy (meV per atom) = 10
- energy above the lowest structure with this stoichiometry (eV/f.u.) = 0.06

9.
# Mg6MnSb

A geometry-optimized Mg6MnSb structure (PBE, the Materials Project).

Unit cell a=5.1579 b=6.2030 c=10.7881 alpha=90.00 beta=90.00 gamma=90.00
Fractional coordinates of all 16 atoms:
Mg (0.0000, 0.2513, 0.9163)
Mg (0.5000, 0.7582, 0.0836)
Mn (0.0000, 0.0000, 0.1673)
Mg (0.5000, 0.2418, 0.0836)
Mg (0.5000, 0.0000, 0.3298)
Mg (0.5000, 0.0000, 0.8354)
Sb (0.0000, 0.0000, 0.6677)
Mn (0.0000, 0.5000, 0.6673)
Mg (0.0000, 0.2487, 0.4163)
Mg (0.5000, 0.7418, 0.5836)
Sb (0.0000, 0.5000, 0.1677)
Mg (0.5000, 0.5000, 0.3354)
Mg (0.0000, 0.7513, 0.4163)
Mg (0.0000, 0.7487, 0.9163)
Mg (0.5000, 0.5000, 0.8298)
Mg (0.5000, 0.2582, 0.5836)

- total DFT energy (no corrections) (eV/f.u.) = -22.6
- DFT formation energy (meV per atom) = 16

10.
# Mg14MnSb

A geometry-optimized Mg14MnSb structure (PBE, the Materials Project).

Unit cell a=10.3056 b=6.3043 c=6.3043 alpha=59.92 beta=90.00 gamma=90.00
Fractional coordinates of all 16 atoms:
Mg (0.0000, 0.0000, 0.0000)
Mg (0.0000, 0.0003, 0.4999)
Mg (0.0000, 0.4999, 0.0003)
Mg (0.0000, 0.4997, 0.4997)
Mg (0.2474, 0.1676, 0.1676)
Mg (0.2527, 0.1718, 0.6623)
Mg (0.2527, 0.6623, 0.1718)
Mg (0.2532, 0.6642, 0.6642)
Mg (0.5000, 0.5003, 0.9979)
Mg (0.5000, 0.9979, 0.5003)
Mg (0.7473, 0.1718, 0.6623)
Mg (0.7473, 0.6623, 0.1718)
Mg (0.7468, 0.6642, 0.6642)
Mg (0.7526, 0.1676, 0.1676)
Mn (0.5000, 0.5005, 0.5005)
Sb (0.5000, 0.0018, 0.0018)

- total DFT energy (no corrections) (eV/f.u.) = -35.4
- DFT formation energy (meV per atom) = 6
- energy above the lowest structure with this stoichiometry (eV/f.u.) = 0.00

11.
# Mg14MnSn

A geometry-optimized Mg14MnSn structure (PBE, the Materials Project).

Unit cell a=6.2864 b=6.2864 c=10.3787 alpha=90.00 beta=90.00 gamma=120.00
Fractional coordinates of all 16 atoms:
Mg (0.0000, 0.0000, 0.2476)
Mg (0.0000, 0.0000, 0.7524)
Mg (0.0055, 0.5027, 0.2421)
Mg (0.0055, 0.5027, 0.7579)
Mg (0.3324, 0.1662, 0.5000)
Mg (0.3335, 0.1668, 0.0000)
Mg (0.4973, 0.5027, 0.2421)
Mg (0.4973, 0.5027, 0.7579)
Mg (0.4973, 0.9945, 0.2421)
Mg (0.4973, 0.9945, 0.7579)
Mg (0.8332, 0.1668, 0.0000)
Mg (0.8332, 0.6665, 0.0000)
Mg (0.8338, 0.1662, 0.5000)
Mg (0.8338, 0.6676, 0.5000)
Mn (0.3333, 0.6667, 0.0000)
Sn (0.3333, 0.6667, 0.5000)

- total DFT energy (no corrections) (eV/f.u.) = -35.2
- DFT formation energy (meV per atom) = 23
- energy above the lowest structure with this stoichiometry (eV/f.u.) = 0.06

12.
# Mg6MnSn

A geometry-optimized Mg6MnSn structure (PBE, the Materials Project).

Unit cell a=4.9648 b=6.3466 c=10.8625 alpha=90.00 beta=90.00 gamma=90.00
Fractional coordinates of all 16 atoms:
Mg (0.5000, 0.5000, 0.6679)
Mg (0.5000, 0.7553, 0.9143)
Mg (0.0000, 0.0000, 0.3335)
Mg (0.5000, 0.2553, 0.4143)
Mg (0.5000, 0.7447, 0.4143)
Mn (0.0000, 0.0000, 0.8339)
Mg (0.0000, 0.2553, 0.5819)
Sn (0.5000, 0.0000, 0.6724)
Mg (0.0000, 0.7553, 0.0819)
Mn (0.0000, 0.5000, 0.3339)
Mg (0.5000, 0.2447, 0.9143)
Mg (0.0000, 0.2447, 0.0819)
Sn (0.5000, 0.5000, 0.1724)
Mg (0.0000, 0.7447, 0.5819)
Mg (0.5000, 0.0000, 0.1679)
Mg (0.0000, 0.5000, 0.8335)

- total DFT energy (no corrections) (eV/f.u.) = -22.4
- DFT formation energy (meV per atom) = 49
- energy above the lowest structure with this stoichiometry (eV/f.u.) = 0.03

13.
# Mg14MnSn

A geometry-optimized Mg14MnSn structure (PBE, the Materials Project).

Unit cell a=10.3003 b=6.2974 c=6.2974 alpha=59.93 beta=90.00 gamma=90.00
Fractional coordinates of all 16 atoms:
Mg (0.0000, 0.0000, 0.0000)
Mg (0.0000, 0.0004, 0.4999)
Mg (0.0000, 0.4999, 0.0004)
Mg (0.0000, 0.4998, 0.4998)
Mg (0.2485, 0.1669, 0.1669)
Mg (0.2529, 0.1711, 0.6639)
Mg (0.2529, 0.6639, 0.1711)
Mg (0.2527, 0.6644, 0.6644)
Mg (0.5000, 0.5000, 0.9987)
Mg (0.5000, 0.9987, 0.5000)
Mg (0.7471, 0.1711, 0.6639)
Mg (0.7471, 0.6639, 0.1711)
Mg (0.7473, 0.6644, 0.6644)
Mg (0.7515, 0.1669, 0.1669)
Mn (0.5000, 0.5006, 0.5006)
Sn (0.5000, 0.0010, 0.0010)

- total DFT energy (no corrections) (eV/f.u.) = -35.3
- DFT formation energy (meV per atom) = 20
- energy above the lowest structure with this stoichiometry (eV/f.u.) = 0.00

14.
# MgMn6Sn6

A geometry-optimized MgMn6Sn6 structure (PBE, the Materials Project).

Unit cell a=5.4457 b=5.4457 c=8.9937 alpha=90.00 beta=90.00 gamma=120.00
Fractional coordinates of all 13 atoms:
Mg (0.0000, 0.0000, 0.0000)
Mn (0.0000, 0.5000, 0.2491)
Mn (0.0000, 0.5000, 0.7509)
Mn (0.5000, 0.0000, 0.2491)
Mn (0.5000, 0.0000, 0.7509)
Mn (0.5000, 0.5000, 0.2491)
Mn (0.5000, 0.5000, 0.7509)
Sn (0.0000, 0.0000, 0.3258)
Sn (0.0000, 0.0000, 0.6742)
Sn (0.3333, 0.6667, 0.0000)
Sn (0.3333, 0.6667, 0.5000)
Sn (0.6667, 0.3333, 0.0000)
Sn (0.6667, 0.3333, 0.5000)

- total DFT energy (no corrections) (eV/f.u.) = -80.7
- DFT formation energy (meV per atom) = -6

15.
# Mg6MnSn

A geometry-optimized Mg6MnSn structure (PBE, the Materials Project).

Unit cell a=5.0150 b=6.2537 c=10.9244 alpha=90.00 beta=90.00 gamma=90.00
Fractional coordinates of all 16 atoms:
Mg (0.5000, 0.7492, 0.9165)
Sn (0.5000, 0.5000, 0.1678)
Mg (0.0000, 0.0000, 0.3291)
Sn (0.5000, 0.0000, 0.6678)
Mg (0.0000, 0.7596, 0.0836)
Mn (0.5000, 0.5000, 0.6671)
Mn (0.5000, 0.0000, 0.1671)
Mg (0.0000, 0.5000, 0.8291)
Mg (0.5000, 0.2508, 0.9165)
Mg (0.5000, 0.2492, 0.4165)
Mg (0.0000, 0.0000, 0.8357)
Mg (0.0000, 0.7404, 0.5836)
Mg (0.0000, 0.2404, 0.0836)
Mg (0.0000, 0.5000, 0.3357)
Mg (0.5000, 0.7508, 0.4165)
Mg (0.0000, 0.2596, 0.5836)

- total DFT energy (no corrections) (eV/f.u.) = -22.4
- DFT formation energy (meV per atom) = 46
- energy above the lowest structure with this stoichiometry (eV/f.u.) = 0.00

16.
# SrMg14Mn

A geometry-optimized SrMg14Mn structure (PBE, the Materials Project).

Unit cell a=6.5240 b=6.5240 c=10.4500 alpha=90.00 beta=90.00 gamma=120.00
Fractional coordinates of all 16 atoms:
Sr (0.0000, 0.0000, 0.0000)
Mg (0.0121, 0.5060, 0.0000)
Mg (0.1678, 0.3356, 0.2675)
Mg (0.1678, 0.3356, 0.7325)
Mg (0.1678, 0.8322, 0.2675)
Mg (0.1678, 0.8322, 0.7325)
Mg (0.4940, 0.5060, 0.0000)
Mg (0.4940, 0.9879, 0.0000)
Mg (0.5011, 0.0022, 0.5000)
Mg (0.5011, 0.4989, 0.5000)
Mg (0.6644, 0.8322, 0.2675)
Mg (0.6644, 0.8322, 0.7325)
Mg (0.6667, 0.3333, 0.2436)
Mg (0.6667, 0.3333, 0.7564)
Mg (0.9978, 0.4989, 0.5000)
Mn (0.0000, 0.0000, 0.5000)

- total DFT energy (no corrections) (eV/f.u.) = -31.6
- DFT formation energy (meV per atom) = 103
- energy above the lowest structure with this stoichiometry (eV/f.u.) = 0.07

17.
# SrMg14Mn

A geometry-optimized SrMg14Mn structure (PBE, the Materials Project).

Unit cell a=10.4360 b=6.5371 c=6.5371 alpha=59.37 beta=90.00 gamma=90.00
Fractional coordinates of all 16 atoms:
Sr (0.0000, 0.0000, 0.0000)
Mg (0.0000, 0.0117, 0.4936)
Mg (0.0000, 0.4936, 0.0117)
Mg (0.2387, 0.6599, 0.6599)
Mg (0.2561, 0.1717, 0.6529)
Mg (0.2561, 0.6529, 0.1717)
Mg (0.2626, 0.1674, 0.1674)
Mg (0.5000, 0.4984, 0.4984)
Mg (0.5000, 0.4998, 0.9949)
Mg (0.5000, 0.9949, 0.4998)
Mg (0.5000, 0.9968, 0.9968)
Mg (0.7374, 0.1674, 0.1674)
Mg (0.7439, 0.1717, 0.6529)
Mg (0.7439, 0.6529, 0.1717)
Mg (0.7613, 0.6599, 0.6599)
Mn (0.0000, 0.4905, 0.4905)

- total DFT energy (no corrections) (eV/f.u.) = -31.7
- DFT formation energy (meV per atom) = 98
- energy above the lowest structure with this stoichiometry (eV/f.u.) = 0.00

18.
# SrMg6Mn

A geometry-optimized SrMg6Mn structure (PBE, the Materials Project).

Unit cell a=5.0948 b=6.5397 c=11.3073 alpha=90.00 beta=90.00 gamma=90.00
Fractional coordinates of all 16 atoms:
Mn (0.0000, 0.5000, 0.3468)
Mg (0.5000, 0.2201, 0.9129)
Mg (0.5000, 0.0000, 0.6792)
Mg (0.5000, 0.7799, 0.9129)
Mg (0.0000, 0.7547, 0.0803)
Mg (0.5000, 0.7201, 0.4129)
Mg (0.5000, 0.5000, 0.6539)
Mg (0.0000, 0.2453, 0.0803)
Sr (0.0000, 0.0000, 0.3337)
Sr (0.0000, 0.5000, 0.8337)
Mg (0.5000, 0.2799, 0.4129)
Mg (0.0000, 0.2547, 0.5803)
Mn (0.0000, 0.0000, 0.8468)
Mg (0.0000, 0.7453, 0.5803)
Mg (0.5000, 0.0000, 0.1539)
Mg (0.5000, 0.5000, 0.1792)

- total DFT energy (no corrections) (eV/f.u.) = -18.8
- DFT formation energy (meV per atom) = 207